# 1
! U2AlCu3 | Materials Project | PBE | relaxed; values from VASP
&SYSTEM
  ibrav = 0, nat = 12, ntyp = 3
/
ATOMIC_SPECIES
Al 26.98 Al.upf
U 238.03 U.upf
Cu 63.55 Cu.upf
CELL_PARAMETERS angstrom
2.726 -4.721 0.000
2.726 4.721 0.000
0.000 0.000 7.671
ATOMIC_POSITIONS angstrom
Al 0.000 0.000 0.000
Al 0.000 0.000 3.836
U 2.726 1.574 3.178
U 2.726 1.574 0.657
U 2.726 -1.574 4.493
U 2.726 -1.574 7.014
Cu 1.429 0.825 5.753
Cu 2.726 -3.070 1.918
Cu 4.022 -0.825 1.918
Cu 1.429 -0.825 1.918
Cu 4.022 0.825 5.753
Cu 2.726 3.070 5.753
! calculated volume	16.45	Å³/atom
! ΔH_f (0 K)	0.029	eV/atom
! ρ	11670	kg/m3
! symmetry	No. 194
! total magnetic moment	0.393	μB/f.u.

=====

# 2
! UAl8Cu4 | Materials Project | PBE | relaxed; values from VASP
&SYSTEM
  ibrav = 0, nat = 13, ntyp = 3
/
ATOMIC_SPECIES
Cu 63.55 Cu.upf
Al 26.98 Al.upf
U 238.03 U.upf
CELL_PARAMETERS angstrom
-4.346 4.346 2.700
4.346 -4.346 2.700
4.346 4.346 -2.700
ATOMIC_POSITIONS angstrom
Cu 3.035 0.000 0.000
Cu 5.657 0.000 0.000
Cu 0.000 5.657 0.000
Cu 0.000 3.035 0.000
Al 2.401 4.346 0.000
Al -2.173 2.173 1.350
Al 2.173 2.173 1.350
Al 1.945 0.000 2.700
Al 0.000 1.945 2.700
Al 2.173 2.173 -1.350
Al 2.173 -2.173 1.350
Al 4.346 2.401 0.000
U 0.000 0.000 0.000
! calculated volume	15.69	Å³/atom
! ΔH_f (0 K)	-0.013	eV/atom
! excess energy over the best structure of this formula in the dataset	0.1975	eV/atom
! ρ	5764	kg/m3
! symmetry	No. 139
! total magnetic moment	0.141	μB/f.u.

=====

# 3
! UAl8Cu4 | Materials Project | PBE | relaxed; values from VASP
&SYSTEM
  ibrav = 0, nat = 13, ntyp = 3
/
ATOMIC_SPECIES
Cu 63.55 Cu.upf
U 238.03 U.upf
Al 26.98 Al.upf
CELL_PARAMETERS angstrom
2.325 -5.850 2.418
-5.994 3.077 -0.285
0.696 -1.341 -6.572
ATOMIC_POSITIONS angstrom
Cu -2.997 1.538 -0.142
Cu 1.163 -2.925 1.209
Cu 0.348 -0.671 -3.286
Cu -1.487 -2.057 -2.220
U 0.000 0.000 0.000
Al -1.794 -1.168 -4.605
Al 1.044 -2.486 -1.436
Al -1.832 0.600 -2.371
Al 0.011 -3.104 -4.018
Al -1.179 -2.947 0.165
Al -3.467 1.135 -4.487
Al 1.977 -4.705 -2.718
Al -2.984 -1.010 -0.421
! calculated volume	15.23	Å³/atom
! ΔH_f (0 K)	-0.210	eV/atom
! excess energy over the best structure of this formula in the dataset	0.0000	eV/atom
! ρ	5938	kg/m3
! symmetry	No. 139

=====

# 4
! UAl5Cu6 | Materials Project | PBE | relaxed; values from VASP
&SYSTEM
  ibrav = 0, nat = 24, ntyp = 3
/
ATOMIC_SPECIES
Cu 63.55 Cu.upf
Al 26.98 Al.upf
U 238.03 U.upf
CELL_PARAMETERS angstrom
6.687 -5.368 -5.723
4.395 -6.699 1.636
-1.353 -4.105 -6.520
ATOMIC_POSITIONS angstrom
Cu 8.299 -10.933 -5.766
Cu 3.863 -9.282 -7.491
Cu 1.000 -5.880 -4.740
Cu 3.884 -6.758 -7.447
Cu 4.950 -6.303 -3.295
Cu 2.737 -7.424 -3.767
Cu 6.757 -8.055 -3.369
Cu 8.565 -9.808 -3.443
Cu 1.594 -5.723 -7.262
Cu 6.081 -10.108 -6.629
Cu 6.173 -7.793 -7.632
Cu 4.474 -8.967 -2.794
Al 5.841 -7.708 -1.034
Al 4.865 -8.086 -5.303
Al 4.229 -7.957 -9.650
Al 6.056 -9.852 -9.148
Al 2.141 -8.020 -6.155
Al 7.297 -12.129 -7.954
Al 6.106 -10.363 -4.109
Al 7.674 -8.402 -5.704
Al 3.334 -6.827 -1.380
Al 3.539 -5.559 -5.244
U 2.432 -4.043 -2.651
U 0.000 0.000 0.000
! calculated volume	14.59	Å³/atom
! ΔH_f (0 K)	-0.237	eV/atom
! ρ	7153	kg/m3
! symmetry	No. 70
! total magnetic moment	2.755	μB/f.u.

=====

# 5
! UAl6Cu6 | Materials Project | PBE | relaxed; values from VASP
&SYSTEM
  ibrav = 0, nat = 13, ntyp = 3
/
ATOMIC_SPECIES
Al 26.98 Al.upf
Cu 63.55 Cu.upf
U 238.03 U.upf
CELL_PARAMETERS angstrom
-7.622 3.127 2.899
-2.455 6.248 0.195
-6.192 -1.368 -1.881
ATOMIC_POSITIONS angstrom
Al -6.907 0.879 0.509
Al -9.096 2.263 0.156
Al -6.312 3.363 -0.045
Al -7.173 5.744 1.058
Al -1.228 3.124 0.098
Al -9.957 4.644 1.259
Cu -7.434 8.258 2.077
Cu -3.096 -0.684 -0.940
Cu -11.353 6.709 2.361
Cu -8.835 -0.251 -0.863
Cu -4.916 1.298 -1.147
Cu -5.039 4.688 1.547
U 0.000 0.000 0.000
! calculated volume	14.71	Å³/atom
! ΔH_f (0 K)	-0.104	eV/atom
! ρ	6784	kg/m3
! symmetry	No. 69
! total magnetic moment	2.639	μB/f.u.

=====

# 6
! Al5CuW2 | Materials Project | PBE | relaxed; values from VASP
&SYSTEM
  ibrav = 0, nat = 8, ntyp = 3
/
ATOMIC_SPECIES
Al 26.98 Al.upf
W 183.84 W.upf
Cu 63.55 Cu.upf
CELL_PARAMETERS angstrom
-0.845 3.421 1.374
-3.591 -0.445 -1.101
-1.821 -3.386 7.308
ATOMIC_POSITIONS angstrom
Al -3.141 -2.724 4.849
Al -0.898 0.826 2.596
Al -2.271 -1.107 1.358
Al -2.218 1.488 0.137
Al -1.768 -0.792 6.087
W -3.128 -0.205 3.791
W 0.000 0.000 0.000
Cu -0.910 -1.693 3.654
! calculated volume	14.76	Å³/atom
! ΔH_f (0 K)	-0.145	eV/atom
! ρ	7959	kg/m3
! symmetry	No. 123
! total magnetic moment	0.000	μB/f.u.

=====

# 7
! YAl6Cu6 | Materials Project | PBE | relaxed; values from VASP
&SYSTEM
  ibrav = 0, nat = 13, ntyp = 3
/
ATOMIC_SPECIES
Cu 63.55 Cu.upf
Al 26.98 Al.upf
Y 88.91 Y.upf
CELL_PARAMETERS angstrom
-2.544 4.290 4.345
2.544 -4.290 4.345
2.544 4.290 -4.345
ATOMIC_POSITIONS angstrom
Cu 2.544 1.959 0.000
Cu -1.272 2.145 2.173
Cu 1.272 2.145 -2.173
Cu 1.272 2.145 2.173
Cu 1.272 -2.145 2.173
Cu 0.000 2.331 4.345
Al 2.544 0.000 1.769
Al 0.000 0.000 3.034
Al 0.000 0.000 5.657
Al 0.000 5.610 0.000
Al 0.000 2.969 0.000
Al 0.000 4.290 2.577
Y 0.000 0.000 0.000
! calculated volume	14.59	Å³/atom
! ΔH_f (0 K)	-0.361	eV/atom
! ρ	5534	kg/m3
! symmetry	No. 71

=====

# 8
! Y3Al7Cu2 | Materials Project | PBE | relaxed; values from VASP
&SYSTEM
  ibrav = 0, nat = 12, ntyp = 3
/
ATOMIC_SPECIES
Al 26.98 Al.upf
Y 88.91 Y.upf
Cu 63.55 Cu.upf
CELL_PARAMETERS angstrom
8.639 -2.751 0.000
8.639 2.751 0.000
7.763 0.000 4.684
ATOMIC_POSITIONS angstrom
Al 14.873 -1.400 1.959
Al 12.521 0.000 2.342
Al 10.168 1.400 2.724
Al 10.168 -1.400 2.724
Al 14.873 1.400 1.959
Al 10.614 0.000 0.340
Al 14.428 0.000 4.343
Y 3.552 0.000 0.664
Y 21.489 0.000 4.019
Y 0.000 0.000 0.000
Cu 8.395 0.000 1.570
Cu 16.647 0.000 3.114
! calculated volume	18.55	Å³/atom
! ΔH_f (0 K)	-0.504	eV/atom
! ρ	4346	kg/m3
! symmetry	No. 166